(1)
Y3In5 | PBE | optimized geometry

Lattice parameters (Å, degrees): 6.404 6.404 10.434 90.00 90.00 78.56
Fractional positions:
Y1 0.124 0.876 0.750
Y2 0.297 0.297 0.000
Y3 0.297 0.297 0.500
Y4 0.703 0.703 0.000
Y5 0.703 0.703 0.500
Y6 0.876 0.124 0.250
In1 0.011 0.422 0.750
In2 0.192 0.808 0.045
In3 0.192 0.808 0.455
In4 0.422 0.011 0.250
In5 0.492 0.508 0.250
In6 0.508 0.492 0.750
In7 0.578 0.989 0.750
In8 0.808 0.192 0.545
In9 0.808 0.192 0.955
In10 0.989 0.578 0.250

Output
- Total energy: -37.0 eV per formula unit
- ΔH_f (0 K): -0.481 eV per atom
- Energy above the most stable polymorph in this dataset: 0.000 eV/atom

=====

(2)
YIn | PBE | optimized geometry

Lattice parameters (Å, degrees): 3.528 3.528 4.279 90.00 90.00 90.00
Fractional positions:
Y1 0.000 0.000 0.000
In1 0.500 0.500 0.500

Output
- Total energy: -10.2 eV per formula unit
- ΔH_f (0 K): -0.493 eV per atom